Run P
VASP calculation (PBE-GGA) on MgSbF5 after structural relaxation.

a = 10.151 Å, b = 5.677 Å, c = 8.064 Å
α = 59.98°, β = 90.00°, γ = 90.00°
Fractional coordinates of all 28 atoms:
F 0.569 0.302 0.185
F 0.675 0.303 0.887
F 0.175 0.697 0.613
F 0.578 0.817 0.164
F 0.103 0.635 0.967
F 0.846 0.838 0.063
F 0.897 0.365 0.033
F 0.078 0.183 0.336
F 0.346 0.162 0.437
F 0.325 0.697 0.113
F 0.922 0.817 0.664
F 0.654 0.838 0.563
F 0.397 0.635 0.467
F 0.154 0.162 0.937
F 0.422 0.183 0.836
F 0.825 0.303 0.387
F 0.069 0.698 0.315
F 0.431 0.698 0.815
F 0.931 0.302 0.685
F 0.603 0.365 0.533
Mg 0.474 0.473 0.311
Mg 0.026 0.473 0.811
Mg 0.526 0.527 0.689
Mg 0.974 0.527 0.189
Sb 0.723 0.062 0.169
Sb 0.223 0.938 0.331
Sb 0.277 0.938 0.831
Sb 0.777 0.062 0.669

Properties
total moment: 0.0 μB/f.u.
space-group type: P2_1/c, No. 14


Run Q
VASP calculation (PBE-GGA) on MgSbF5 after structural relaxation.

a = 5.681 Å, b = 5.681 Å, c = 8.276 Å
α = 68.09°, β = 68.09°, γ = 71.40°
Fractional coordinates of all 14 atoms:
F 0.236 0.287 0.362
F 0.713 0.764 0.138
F 0.764 0.713 0.638
F 0.327 0.701 0.567
F 0.836 0.164 0.750
F 0.299 0.673 0.933
F 0.673 0.299 0.433
F 0.164 0.836 0.250
F 0.701 0.327 0.067
F 0.287 0.236 0.862
Sb 0.000 0.000 0.500
Sb 0.000 0.000 0.000
Mg 0.512 0.488 0.750
Mg 0.488 0.512 0.250

Properties
total moment: 0.0 μB/f.u.
space-group type: C2/c, No. 15


Relative stability in meV/atom, measured from the most stable structure: run P 0; run Q 92


Run P
VASP calculation (PBE-GGA) on MgTiF5 after structural relaxation.

a = 5.349 Å, b = 5.349 Å, c = 7.491 Å
α = 69.37°, β = 69.37°, γ = 72.65°
Fractional coordinates of all 14 atoms:
Mg 0.477 0.523 0.250
Mg 0.523 0.477 0.750
Ti 0.000 0.000 0.000
Ti 0.000 0.000 0.500
F 0.779 0.730 0.628
F 0.270 0.221 0.872
F 0.298 0.681 0.950
F 0.319 0.702 0.550
F 0.221 0.270 0.372
F 0.137 0.863 0.250
F 0.730 0.779 0.128
F 0.863 0.137 0.750
F 0.681 0.298 0.450
F 0.702 0.319 0.050

Properties
total moment: 1.0 μB/f.u.
space-group type: C2/c, No. 15


Run Q
VASP calculation (PBE-GGA) on MgTiF5 after structural relaxation.

a = 9.802 Å, b = 5.274 Å, c = 7.451 Å
α = 70.58°, β = 90.00°, γ = 90.00°
Fractional coordinates of all 28 atoms:
F 0.135 0.219 0.838
F 0.610 0.389 0.080
F 0.099 0.157 0.304
F 0.901 0.843 0.696
F 0.390 0.611 0.920
F 0.365 0.219 0.338
F 0.394 0.645 0.509
F 0.106 0.645 0.009
F 0.599 0.843 0.196
F 0.890 0.389 0.580
F 0.678 0.180 0.833
F 0.401 0.157 0.804
F 0.894 0.355 0.991
F 0.865 0.781 0.162
F 0.635 0.781 0.662
F 0.822 0.180 0.333
F 0.178 0.820 0.667
F 0.322 0.820 0.167
F 0.110 0.611 0.420
F 0.606 0.355 0.491
Mg 0.990 0.481 0.247
Mg 0.490 0.519 0.253
Mg 0.510 0.481 0.747
Mg 0.010 0.519 0.753
Ti 0.246 0.904 0.395
Ti 0.754 0.096 0.605
Ti 0.254 0.904 0.895
Ti 0.746 0.096 0.105

Properties
total moment: 1.0 μB/f.u.
space-group type: P2_1/c, No. 14


Relative stability in meV/atom, measured from the most stable structure: run P 0; run Q 17


Run P
VASP calculation (PBE-GGA) on ScN3F6 after structural relaxation.

a = 6.495 Å, b = 6.533 Å, c = 7.438 Å
α = 55.32°, β = 56.99°, γ = 69.68°
Fractional coordinates of all 10 atoms:
N 0.747 0.737 0.741
N 0.258 0.242 0.225
N 0.455 0.473 0.497
F 0.262 0.261 0.737
F 0.846 0.823 0.207
F 0.211 0.786 0.740
F 0.785 0.204 0.742
F 0.608 0.345 0.371
F 0.314 0.624 0.377
Sc 0.013 0.005 0.864

Properties
total moment: 6.0 μB/f.u.
space-group type: P1, No. 1


Run Q
VASP calculation (PBE-GGA) on ScN3F6 after structural relaxation.

a = 6.174 Å, b = 6.174 Å, c = 7.001 Å
α = 56.29°, β = 56.29°, γ = 72.63°
Fractional coordinates of all 10 atoms:
F 0.634 0.634 0.709
F 0.212 0.757 0.042
F 0.757 0.212 0.042
F 0.342 0.342 0.999
F 0.798 0.798 0.908
F 0.233 0.233 0.531
N 0.490 0.490 0.974
N 0.276 0.759 0.460
N 0.759 0.276 0.460
Sc 0.000 0.000 0.876

Properties
total moment: 6.0 μB/f.u.
space-group type: Cm, No. 8


Relative stability in meV/atom, measured from the most stable structure: run P 0; run Q 11


Run P
VASP calculation (PBE-GGA) on ScN3F6 after structural relaxation.

a = 5.533 Å, b = 5.533 Å, c = 5.533 Å
α = 60.00°, β = 60.00°, γ = 60.00°
Fractional coordinates of all 10 atoms:
F 0.735 0.735 0.265
F 0.265 0.265 0.735
F 0.265 0.735 0.265
F 0.735 0.265 0.265
F 0.735 0.265 0.735
F 0.265 0.735 0.735
N 0.250 0.250 0.250
N 0.750 0.750 0.750
N 0.500 0.500 0.500
Sc 0.000 0.000 0.000

Properties
total moment: 6.0 μB/f.u.
space-group type: Fm-3m, No. 225


Run Q
VASP calculation (PBE-GGA) on ScN3F6 after structural relaxation.

a = 5.303 Å, b = 5.565 Å, c = 11.559 Å
α = 65.53°, β = 90.00°, γ = 90.00°
Fractional coordinates of all 20 atoms:
F 0.769 0.062 0.593
F 0.857 0.265 0.795
F 0.279 0.302 0.511
F 0.221 0.302 0.011
F 0.779 0.698 0.989
F 0.231 0.938 0.407
F 0.721 0.698 0.489
F 0.143 0.735 0.205
F 0.731 0.062 0.093
F 0.357 0.735 0.705
F 0.643 0.265 0.295
F 0.269 0.938 0.907
N 0.000 0.500 0.500
N 0.613 0.254 0.754
N 0.500 0.500 0.000
N 0.113 0.746 0.746
N 0.887 0.254 0.254
N 0.387 0.746 0.246
Sc 0.000 0.000 0.000
Sc 0.500 0.000 0.500

Properties
total moment: 6.0 μB/f.u.
space-group type: P2_1/c, No. 14


Relative stability in meV/atom, measured from the most stable structure: run P 339; run Q 0


Run P
VASP calculation (PBE-GGA) on TaNF6 after structural relaxation.

a = 4.899 Å, b = 5.178 Å, c = 5.195 Å
α = 68.73°, β = 80.31°, γ = 76.89°
Fractional coordinates of all 8 atoms:
F 0.684 0.313 0.850
F 0.316 0.687 0.150
F 0.284 0.159 0.693
F 0.987 0.782 0.778
F 0.716 0.841 0.307
F 0.013 0.218 0.222
N 0.500 0.000 0.000
Ta 0.000 0.000 0.000

Properties
total moment: 0.0 μB/f.u.
space-group type: P-1, No. 2


Run Q
VASP calculation (PBE-GGA) on TaNF6 after structural relaxation.

a = 4.900 Å, b = 4.900 Å, c = 4.900 Å
α = 96.32°, β = 96.32°, γ = 96.32°
Fractional coordinates of all 8 atoms:
N 0.500 0.500 0.500
F 0.786 0.084 0.672
F 0.214 0.916 0.328
F 0.672 0.786 0.084
F 0.916 0.328 0.214
F 0.084 0.672 0.786
F 0.328 0.214 0.916
Ta 0.000 0.000 0.000

Properties
total moment: 2.0 μB/f.u.
space-group type: R-3, No. 148


Relative stability in meV/atom, measured from the most stable structure: run P 0; run Q 17


Run P
VASP calculation (PBE-GGA) on Na3TiF6 after structural relaxation.

a = 5.726 Å, b = 5.874 Å, c = 8.103 Å
α = 90.00°, β = 90.76°, γ = 90.00°
Fractional coordinates of all 20 atoms:
F 0.712 0.179 0.046
F 0.177 0.284 0.932
F 0.113 0.047 0.229
F 0.823 0.716 0.068
F 0.212 0.321 0.546
F 0.887 0.953 0.771
F 0.788 0.679 0.454
F 0.613 0.453 0.729
F 0.677 0.216 0.432
F 0.387 0.547 0.271
F 0.323 0.784 0.568
F 0.288 0.821 0.954
Na 0.013 0.551 0.748
Na 0.513 0.949 0.248
Na 0.487 0.051 0.752
Na 0.500 0.500 0.000
Na 0.987 0.449 0.252
Na 0.000 0.000 0.500
Ti 0.500 0.500 0.500
Ti 0.000 0.000 0.000

Properties
space-group type: P2_1/c, No. 14


Run Q
VASP calculation (PBE-GGA) on Na3TiF6 after structural relaxation.

a = 5.891 Å, b = 5.891 Å, c = 5.891 Å
α = 60.00°, β = 60.00°, γ = 60.00°
Fractional coordinates of all 10 atoms:
Na 0.500 0.500 0.500
Na 0.750 0.750 0.750
Na 0.250 0.250 0.250
F 0.237 0.763 0.237
F 0.763 0.237 0.763
F 0.763 0.763 0.237
F 0.237 0.763 0.763
F 0.237 0.237 0.763
F 0.763 0.237 0.237
Ti 0.000 0.000 0.000

Properties
total moment: 1.0 μB/f.u.
space-group type: Fm-3m, No. 225


Relative stability in meV/atom, measured from the most stable structure: run P 0; run Q 96


Run P
VASP calculation (PBE-GGA) on Nb3O7F after structural relaxation.

a = 10.719 Å, b = 10.719 Å, c = 3.989 Å
α = 90.00°, β = 90.00°, γ = 159.03°
Fractional coordinates of all 11 atoms:
O 0.815 0.185 0.500
O 0.907 0.093 0.000
O 0.500 0.500 0.000
O 0.291 0.709 0.000
O 0.185 0.815 0.500
O 0.093 0.907 0.000
O 0.709 0.291 0.000
Nb 0.815 0.185 0.000
Nb 0.000 0.000 0.000
Nb 0.185 0.815 0.000
F 0.000 0.000 0.500

Properties
total moment: 0.0 μB/f.u.
space-group type: Cmmm, No. 65


Run Q
VASP calculation (PBE-GGA) on Nb3O7F after structural relaxation.

a = 6.346 Å, b = 6.346 Å, c = 3.911 Å
α = 90.00°, β = 90.00°, γ = 117.82°
Fractional coordinates of all 11 atoms:
O 0.338 0.046 0.000
O 0.662 0.954 0.000
O 0.046 0.338 0.000
O 0.689 0.311 0.500
O 0.954 0.662 0.000
O 0.311 0.689 0.500
O 0.000 0.000 0.500
Nb 0.000 0.000 0.000
Nb 0.699 0.301 0.000
Nb 0.301 0.699 0.000
F 0.500 0.500 0.000

Properties
total moment: 0.0 μB/f.u.
space-group type: Cmmm, No. 65


Run R
VASP calculation (PBE-GGA) on Nb3O7F after structural relaxation.

a = 3.886 Å, b = 10.523 Å, c = 16.029 Å
α = 90.00°, β = 90.00°, γ = 90.00°
Fractional coordinates of all 44 atoms:
F 0.995 0.250 0.287
F 0.495 0.750 0.213
F 0.505 0.250 0.787
F 0.005 0.750 0.713
O 0.484 0.750 0.471
O 0.997 0.543 0.203
O 0.984 0.250 0.029
O 0.991 0.613 0.380
O 0.509 0.613 0.880
O 0.992 0.875 0.564
O 0.492 0.375 0.936
O 0.003 0.043 0.797
O 0.016 0.750 0.971
O 0.997 0.957 0.203
O 0.497 0.457 0.297
O 0.491 0.387 0.120
O 0.503 0.543 0.703
O 0.003 0.457 0.797
O 0.508 0.875 0.064
O 0.509 0.887 0.880
O 0.516 0.250 0.529
O 0.491 0.113 0.120
O 0.497 0.043 0.297
O 0.009 0.113 0.620
O 0.991 0.887 0.380
O 0.492 0.125 0.936
O 0.009 0.387 0.620
O 0.992 0.625 0.564
O 0.008 0.375 0.436
O 0.008 0.125 0.436
O 0.503 0.957 0.703
O 0.508 0.625 0.064
Nb 0.955 0.750 0.464
Nb 0.998 0.051 0.333
Nb 0.998 0.449 0.333
Nb 0.045 0.250 0.536
Nb 0.498 0.551 0.167
Nb 0.498 0.949 0.167
Nb 0.501 0.449 0.833
Nb 0.002 0.949 0.667
Nb 0.501 0.051 0.833
Nb 0.545 0.750 0.964
Nb 0.002 0.551 0.667
Nb 0.455 0.250 0.036

Properties
total moment: 0.0 μB/f.u.
space-group type: Pnma, No. 62


Relative stability in meV/atom, measured from the most stable structure: run P 55; run Q 20; run R 0


Run P
VASP calculation (PBE-GGA) on OsO2F2 after structural relaxation.

a = 5.768 Å, b = 5.796 Å, c = 6.796 Å
α = 85.33°, β = 109.30°, γ = 110.78°
Fractional coordinates of all 10 atoms:
O 0.450 0.277 0.377
O 0.550 0.723 0.623
O 0.354 0.300 0.173
O 0.646 0.700 0.827
F 0.387 0.792 0.206
F 0.889 0.202 0.237
F 0.111 0.798 0.763
F 0.613 0.208 0.794
Os 0.864 0.527 0.839
Os 0.136 0.473 0.161

Properties
total moment: 0.0 μB/f.u.
space-group type: P-1, No. 2


Run Q
VASP calculation (PBE-GGA) on OsO2F2 after structural relaxation.

a = 8.680 Å, b = 8.793 Å, c = 9.134 Å
α = 90.61°, β = 90.50°, γ = 90.15°
Fractional coordinates of all 40 atoms:
O 0.362 0.884 0.382
O 0.635 0.123 0.392
O 0.607 0.638 0.888
O 0.620 0.861 0.115
O 0.120 0.617 0.374
O 0.108 0.614 0.862
O 0.888 0.620 0.638
O 0.882 0.383 0.372
O 0.619 0.133 0.878
O 0.875 0.885 0.390
O 0.385 0.861 0.881
O 0.140 0.112 0.388
O 0.889 0.384 0.867
O 0.860 0.108 0.610
O 0.361 0.121 0.613
O 0.381 0.368 0.876
Os 0.990 0.500 0.751
Os 0.000 0.500 0.276
Os 0.749 0.998 0.487
Os 0.000 0.001 0.000
Os 0.258 0.000 0.499
Os 0.503 0.498 0.497
Os 0.499 0.758 0.001
Os 0.501 0.252 0.972
F 0.120 0.382 0.633
F 0.096 0.402 0.114
F 0.385 0.628 0.121
F 0.622 0.379 0.626
F 0.902 0.596 0.115
F 0.634 0.883 0.621
F 0.124 0.878 0.122
F 0.879 0.124 0.124
F 0.595 0.349 0.137
F 0.622 0.626 0.378
F 0.404 0.153 0.131
F 0.380 0.623 0.620
F 0.131 0.883 0.619
F 0.124 0.120 0.876
F 0.878 0.878 0.875
F 0.372 0.379 0.378

Properties
total moment: 0.0 μB/f.u.
space-group type: P1, No. 1


Relative stability in meV/atom, measured from the most stable structure: run P 601; run Q 0